[1]
First-principles (r²SCAN) data for a relaxed structure of LaNiSb3, as listed in the Materials Project database.

Values from the calculation:
The value obtained for the formation energy from the elements is -3.6 eV/f.u. As for the space-group type: No. 57.

```
data_LaNiSb3
_chemical_formula_sum 'La8 Ni8 Sb24'
_cell_length_a 6.266
_cell_length_b 12.232
_cell_length_c 13.016
_cell_angle_alpha 90.00
_cell_angle_beta 90.00
_cell_angle_gamma 90.00
_space_group_name_H-M_alt 'P 1'
_space_group_IT_number 1
_space_group_name_Hall 'P 1'
loop_
_atom_site_label
_atom_site_type_symbol
_atom_site_fract_x
_atom_site_fract_y
_atom_site_fract_z
_atom_site_occupancy
La1 La 0.223 0.250 0.304 1
La2 La 0.750 0.000 0.299 1
La3 La 0.250 0.000 0.701 1
La4 La 0.250 0.500 0.701 1
La5 La 0.750 0.500 0.299 1
La6 La 0.277 0.750 0.304 1
La7 La 0.723 0.250 0.696 1
La8 La 0.777 0.750 0.696 1
Ni1 Ni 0.453 0.135 0.094 1
Ni2 Ni 0.047 0.635 0.094 1
Ni3 Ni 0.453 0.365 0.094 1
Ni4 Ni 0.547 0.635 0.906 1
Ni5 Ni 0.547 0.865 0.906 1
Ni6 Ni 0.953 0.135 0.906 1
Ni7 Ni 0.047 0.865 0.094 1
Ni8 Ni 0.953 0.365 0.906 1
Sb1 Sb 0.277 0.750 0.791 1
Sb2 Sb 0.988 0.376 0.503 1
Sb3 Sb 0.750 0.500 0.027 1
Sb4 Sb 0.250 0.000 0.217 1
Sb5 Sb 0.250 0.500 0.973 1
Sb6 Sb 0.097 0.250 0.055 1
Sb7 Sb 0.597 0.250 0.945 1
Sb8 Sb 0.750 0.500 0.783 1
Sb9 Sb 0.513 0.624 0.503 1
Sb10 Sb 0.488 0.376 0.497 1
Sb11 Sb 0.750 0.000 0.783 1
Sb12 Sb 0.723 0.250 0.209 1
Sb13 Sb 0.512 0.876 0.503 1
Sb14 Sb 0.250 0.500 0.217 1
Sb15 Sb 0.223 0.250 0.791 1
Sb16 Sb 0.903 0.750 0.945 1
Sb17 Sb 0.488 0.124 0.497 1
Sb18 Sb 0.988 0.124 0.503 1
Sb19 Sb 0.013 0.624 0.497 1
Sb20 Sb 0.012 0.876 0.497 1
Sb21 Sb 0.750 0.000 0.027 1
Sb22 Sb 0.403 0.750 0.055 1
Sb23 Sb 0.777 0.750 0.209 1
Sb24 Sb 0.250 0.000 0.973 1
```



[2]
First-principles (r²SCAN) data for a relaxed structure of ZnSe, as listed in the Materials Project database.

Values from the calculation:
The value obtained for the formation energy from the elements is -1.7 eV/f.u. As for the space-group type: No. 216.

```
data_ZnSe
_chemical_formula_sum 'Zn1 Se1'
_cell_length_a 4.006
_cell_length_b 4.006
_cell_length_c 4.006
_cell_angle_alpha 60.00
_cell_angle_beta 60.00
_cell_angle_gamma 60.00
_space_group_name_H-M_alt 'P 1'
_space_group_IT_number 1
_space_group_name_Hall 'P 1'
loop_
_atom_site_label
_atom_site_type_symbol
_atom_site_fract_x
_atom_site_fract_y
_atom_site_fract_z
_atom_site_occupancy
Zn1 Zn 0.000 0.000 0.000 1
Se1 Se 0.250 0.250 0.250 1
```



[3]
First-principles (r²SCAN) data for a relaxed structure of Na3ScCl6, as listed in the Materials Project database.

Values from the calculation:
The value obtained for the formation energy from the elements is -21.6 eV/f.u. As for the space-group type: No. 14.

```
data_Na3ScCl6
_chemical_formula_sum 'Na6 Sc2 Cl12'
_cell_length_a 7.131
_cell_length_b 6.649
_cell_length_c 11.835
_cell_angle_alpha 56.43
_cell_angle_beta 90.00
_cell_angle_gamma 90.00
_space_group_name_H-M_alt 'P 1'
_space_group_IT_number 1
_space_group_name_Hall 'P 1'
loop_
_atom_site_label
_atom_site_type_symbol
_atom_site_fract_x
_atom_site_fract_y
_atom_site_fract_z
_atom_site_occupancy
Na1 Na 0.918 0.712 0.757 1
Na2 Na 0.582 0.712 0.257 1
Na3 Na 0.082 0.288 0.243 1
Na4 Na 0.418 0.288 0.743 1
Na5 Na 0.000 0.500 0.500 1
Na6 Na 0.500 0.500 0.000 1
Sc1 Sc 0.500 0.000 0.500 1
Sc2 Sc 0.000 0.000 0.000 1
Cl1 Cl 0.556 0.902 0.735 1
Cl2 Cl 0.944 0.902 0.235 1
Cl3 Cl 0.444 0.098 0.265 1
Cl4 Cl 0.056 0.098 0.765 1
Cl5 Cl 0.796 0.241 0.425 1
Cl6 Cl 0.704 0.241 0.925 1
Cl7 Cl 0.204 0.759 0.575 1
Cl8 Cl 0.296 0.759 0.075 1
Cl9 Cl 0.678 0.631 0.563 1
Cl10 Cl 0.822 0.631 0.063 1
Cl11 Cl 0.322 0.369 0.437 1
Cl12 Cl 0.178 0.369 0.937 1
```



[4]
First-principles (r²SCAN) data for a relaxed structure of Rb2GaAs2, as listed in the Materials Project database.

Values from the calculation:
The value obtained for the formation energy from the elements is -3.1 eV/f.u. As for the space-group type: No. 14.

```
data_Rb2GaAs2
_chemical_formula_sum 'Rb16 Ga8 As16'
_cell_length_a 14.740
_cell_length_b 9.100
_cell_length_c 11.758
_cell_angle_alpha 61.72
_cell_angle_beta 90.00
_cell_angle_gamma 90.00
_space_group_name_H-M_alt 'P 1'
_space_group_IT_number 1
_space_group_name_Hall 'P 1'
loop_
_atom_site_label
_atom_site_type_symbol
_atom_site_fract_x
_atom_site_fract_y
_atom_site_fract_z
_atom_site_occupancy
Rb1 Rb 0.616 0.493 0.568 1
Rb2 Rb 0.116 0.507 0.932 1
Rb3 Rb 0.384 0.507 0.432 1
Rb4 Rb 0.884 0.493 0.068 1
Rb5 Rb 0.613 0.212 0.974 1
Rb6 Rb 0.113 0.788 0.526 1
Rb7 Rb 0.387 0.788 0.026 1
Rb8 Rb 0.887 0.212 0.474 1
Rb9 Rb 0.867 0.588 0.594 1
Rb10 Rb 0.367 0.412 0.906 1
Rb11 Rb 0.133 0.412 0.406 1
Rb12 Rb 0.633 0.588 0.094 1
Rb13 Rb 0.872 0.016 0.964 1
Rb14 Rb 0.372 0.984 0.536 1
Rb15 Rb 0.128 0.984 0.036 1
Rb16 Rb 0.628 0.016 0.464 1
Ga1 Ga 0.941 0.000 0.258 1
Ga2 Ga 0.441 0.000 0.242 1
Ga3 Ga 0.559 0.000 0.758 1
Ga4 Ga 0.785 0.858 0.756 1
Ga5 Ga 0.285 0.142 0.744 1
Ga6 Ga 0.215 0.142 0.244 1
Ga7 Ga 0.715 0.858 0.256 1
Ga8 Ga 0.059 0.000 0.742 1
As1 As 0.555 0.801 0.258 1
As2 As 0.192 0.371 0.714 1
As3 As 0.308 0.371 0.214 1
As4 As 0.692 0.629 0.786 1
As5 As 0.711 0.106 0.729 1
As6 As 0.211 0.894 0.771 1
As7 As 0.289 0.894 0.271 1
As8 As 0.789 0.106 0.229 1
As9 As 0.055 0.199 0.242 1
As10 As 0.445 0.199 0.742 1
As11 As 0.945 0.801 0.758 1
As12 As 0.964 0.728 0.279 1
As13 As 0.536 0.728 0.779 1
As14 As 0.036 0.272 0.721 1
As15 As 0.808 0.629 0.286 1
As16 As 0.464 0.272 0.221 1
```



The lowest formation energy from the elements belongs to which entry? Na3ScCl6



What is the formation energy from the elements in the fourth record? -3.1 eV/f.u.



Repeat the first record exactly.
First-principles (r²SCAN) data for a relaxed structure of LaNiSb3, as listed in the Materials Project database.

Values from the calculation:
The value obtained for the formation energy from the elements is -3.6 eV/f.u. As for the space-group type: No. 57.

```
data_LaNiSb3
_chemical_formula_sum 'La8 Ni8 Sb24'
_cell_length_a 6.266
_cell_length_b 12.232
_cell_length_c 13.016
_cell_angle_alpha 90.00
_cell_angle_beta 90.00
_cell_angle_gamma 90.00
_space_group_name_H-M_alt 'P 1'
_space_group_IT_number 1
_space_group_name_Hall 'P 1'
loop_
_atom_site_label
_atom_site_type_symbol
_atom_site_fract_x
_atom_site_fract_y
_atom_site_fract_z
_atom_site_occupancy
La1 La 0.223 0.250 0.304 1
La2 La 0.750 0.000 0.299 1
La3 La 0.250 0.000 0.701 1
La4 La 0.250 0.500 0.701 1
La5 La 0.750 0.500 0.299 1
La6 La 0.277 0.750 0.304 1
La7 La 0.723 0.250 0.696 1
La8 La 0.777 0.750 0.696 1
Ni1 Ni 0.453 0.135 0.094 1
Ni2 Ni 0.047 0.635 0.094 1
Ni3 Ni 0.453 0.365 0.094 1
Ni4 Ni 0.547 0.635 0.906 1
Ni5 Ni 0.547 0.865 0.906 1
Ni6 Ni 0.953 0.135 0.906 1
Ni7 Ni 0.047 0.865 0.094 1
Ni8 Ni 0.953 0.365 0.906 1
Sb1 Sb 0.277 0.750 0.791 1
Sb2 Sb 0.988 0.376 0.503 1
Sb3 Sb 0.750 0.500 0.027 1
Sb4 Sb 0.250 0.000 0.217 1
Sb5 Sb 0.250 0.500 0.973 1
Sb6 Sb 0.097 0.250 0.055 1
Sb7 Sb 0.597 0.250 0.945 1
Sb8 Sb 0.750 0.500 0.783 1
Sb9 Sb 0.513 0.624 0.503 1
Sb10 Sb 0.488 0.376 0.497 1
Sb11 Sb 0.750 0.000 0.783 1
Sb12 Sb 0.723 0.250 0.209 1
Sb13 Sb 0.512 0.876 0.503 1
Sb14 Sb 0.250 0.500 0.217 1
Sb15 Sb 0.223 0.250 0.791 1
Sb16 Sb 0.903 0.750 0.945 1
Sb17 Sb 0.488 0.124 0.497 1
Sb18 Sb 0.988 0.124 0.503 1
Sb19 Sb 0.013 0.624 0.497 1
Sb20 Sb 0.012 0.876 0.497 1
Sb21 Sb 0.750 0.000 0.027 1
Sb22 Sb 0.403 0.750 0.055 1
Sb23 Sb 0.777 0.750 0.209 1
Sb24 Sb 0.250 0.000 0.973 1
```



Look up the formation energy from the elements of the fourth one. -3.1 eV/f.u.